Cs2ThSi6O15 | the Materials Project database | GGA-PBE | optimized geometry; formation energy = -3309 meV/atom; magnetization = 0.000 μB/atom; total energy = -185.097 eV per formula unit; calculated volume = 17.92 Å³ per atom
1.0
3.716 -8.385 0.000
3.716 8.385 0.000
0.000 0.000 13.806
Cs Th Si O
4 2 12 30
Direct
0.113 0.887 0.500
0.223 0.777 0.190
0.777 0.223 0.690
0.887 0.113 0.000
0.369 0.631 0.842
0.631 0.369 0.342
0.022 0.389 0.416
0.172 0.258 0.266
0.258 0.172 0.766
0.359 0.641 0.572
0.389 0.022 0.916
0.453 0.547 0.097
0.547 0.453 0.597
0.611 0.978 0.416
0.641 0.359 0.072
0.742 0.828 0.266
0.828 0.742 0.766
0.978 0.611 0.916
0.052 0.948 0.739
0.054 0.510 0.872
0.145 0.499 0.517
0.157 0.390 0.338
0.160 0.840 0.951
0.224 0.309 0.811
0.256 0.379 0.163
0.309 0.224 0.311
0.331 0.669 0.683
0.379 0.256 0.663
0.390 0.157 0.838
0.392 0.608 0.008
0.455 0.545 0.559
0.490 0.946 0.872
0.499 0.145 0.017
0.501 0.855 0.517
0.510 0.054 0.372
0.545 0.455 0.059
0.608 0.392 0.508
0.610 0.843 0.338
0.621 0.744 0.163
0.669 0.331 0.183
0.691 0.776 0.811
0.744 0.621 0.663
0.776 0.691 0.311
0.840 0.160 0.451
0.843 0.610 0.838
0.855 0.501 0.017
0.946 0.490 0.372
0.948 0.052 0.239